Model i:
## RbMg14Sn (PBE-GGA)

Data for RbMg14Sn after structural relaxation.

Values from the calculation:
As for the spin magnetization: 0.00 Bohr magnetons per cell.

Cell lengths 6.525, 6.525, 10.973 Å; angles 90.00, 90.00, 120.00 degrees
Fractional positions:
1 Rb 0.167 0.333 0.625
2 Mg 0.163 0.831 0.125
3 Mg 0.173 0.836 0.625
4 Mg 0.669 0.337 0.125
5 Mg 0.664 0.327 0.625
6 Mg 0.669 0.831 0.125
7 Mg 0.664 0.836 0.625
8 Mg 0.338 0.162 0.363
9 Mg 0.338 0.162 0.887
10 Mg 0.338 0.677 0.363
11 Mg 0.338 0.677 0.887
12 Mg 0.823 0.162 0.363
13 Mg 0.823 0.162 0.887
14 Mg 0.833 0.667 0.382
15 Mg 0.833 0.667 0.868
16 Sn 0.167 0.333 0.125

=====

Model ii:
## RbMg14Sn (PBE-GGA)

Data for RbMg14Sn after structural relaxation.

Values from the calculation:
As for the spin magnetization: 0.00 Bohr magnetons per cell.

Cell lengths 6.543, 6.669, 10.649 Å; angles 90.00, 90.00, 120.64 degrees
Fractional positions:
1 Rb 0.169 0.834 0.125
2 Mg 0.165 0.332 0.625
3 Mg 0.168 0.834 0.625
4 Mg 0.665 0.338 0.125
5 Mg 0.669 0.332 0.625
6 Mg 0.665 0.827 0.125
7 Mg 0.669 0.837 0.625
8 Mg 0.335 0.177 0.388
9 Mg 0.335 0.177 0.862
10 Mg 0.335 0.659 0.388
11 Mg 0.335 0.659 0.862
12 Mg 0.832 0.166 0.371
13 Mg 0.832 0.166 0.879
14 Mg 0.821 0.660 0.391
15 Mg 0.821 0.660 0.859
16 Sn 0.182 0.341 0.125

=====

According to the calculations, the structures order from most to least stable as model ii, model i.

=====

Model i:
## RbSrMg6 (PBE-GGA)

Data for RbSrMg6 after structural relaxation.

Values from the calculation:
As for the spin magnetization: 0.01 Bohr magnetons per cell.

Cell lengths 5.298, 7.191, 13.555 Å; angles 90.00, 90.00, 90.00 degrees
Fractional positions:
1 Rb 0.500 0.000 0.175
2 Rb 0.500 0.500 0.675
3 Sr 0.500 0.500 0.171
4 Sr 0.500 0.000 0.671
5 Mg 0.500 0.255 0.423
6 Mg 0.500 0.745 0.423
7 Mg 0.000 0.738 0.047
8 Mg 0.000 0.262 0.047
9 Mg 0.000 0.000 0.361
10 Mg 0.000 0.500 0.354
11 Mg 0.500 0.755 0.923
12 Mg 0.500 0.245 0.923
13 Mg 0.000 0.238 0.547
14 Mg 0.000 0.762 0.547
15 Mg 0.000 0.500 0.861
16 Mg 0.000 0.000 0.854

=====

Model ii:
## RbSrMg6 (PBE-GGA)

Data for RbSrMg6 after structural relaxation.

Values from the calculation:
As for the spin magnetization: 0.01 Bohr magnetons per cell.

Cell lengths 5.563, 7.185, 12.451 Å; angles 90.00, 90.00, 90.00 degrees
Fractional positions:
1 Rb 0.000 0.500 0.341
2 Rb 0.000 0.000 0.841
3 Sr 0.500 0.500 0.159
4 Sr 0.500 0.000 0.659
5 Mg 0.000 0.240 0.082
6 Mg 0.000 0.760 0.082
7 Mg 0.000 0.000 0.333
8 Mg 0.500 0.771 0.418
9 Mg 0.500 0.229 0.418
10 Mg 0.500 0.000 0.166
11 Mg 0.000 0.740 0.582
12 Mg 0.000 0.260 0.582
13 Mg 0.000 0.500 0.833
14 Mg 0.500 0.271 0.918
15 Mg 0.500 0.729 0.918
16 Mg 0.500 0.500 0.666

=====

According to the calculations, the structures order from most to least stable as model i, model ii.

=====

Model i:
## RbMg6Ti (PBE-GGA)

Data for RbMg6Ti after structural relaxation.

Values from the calculation:
As for the spin magnetization: 2.11 Bohr magnetons per cell.

Cell lengths 6.901, 6.901, 4.463 Å; angles 90.00, 90.00, 90.00 degrees
Fractional positions:
1 Rb 0.500 0.500 0.500
2 Mg 0.000 0.500 0.500
3 Mg 0.500 0.000 0.500
4 Mg 0.215 0.785 0.000
5 Mg 0.785 0.215 0.000
6 Mg 0.215 0.215 0.000
7 Mg 0.785 0.785 0.000
8 Ti 0.000 0.000 0.500

=====

Model ii:
## RbMg6Ti (PBE-GGA)

Data for RbMg6Ti after structural relaxation.

Values from the calculation:
As for the spin magnetization: 0.53 Bohr magnetons per cell.

Cell lengths 6.495, 6.495, 5.345 Å; angles 90.00, 90.00, 110.09 degrees
Fractional positions:
1 Rb 0.610 0.390 0.500
2 Mg 0.891 0.678 0.000
3 Mg 0.322 0.109 0.000
4 Mg 0.364 0.636 0.000
5 Mg 0.689 0.912 0.500
6 Mg 0.088 0.311 0.500
7 Mg 0.168 0.832 0.500
8 Ti 0.867 0.133 0.000

=====

According to the calculations, the structures order from most to least stable as model i, model ii.

=====

Model i:
## RbMg6W (PBE-GGA)

Data for RbMg6W after structural relaxation.

Values from the calculation:
As for the spin magnetization: 0.00 Bohr magnetons per cell.

Cell lengths 6.441, 6.441, 5.118 Å; angles 90.00, 90.00, 120.00 degrees
Fractional positions:
1 Rb 0.333 0.667 0.500
2 Mg 0.815 0.629 0.500
3 Mg 0.371 0.185 0.500
4 Mg 0.815 0.185 0.500
5 Mg 0.157 0.314 0.000
6 Mg 0.686 0.843 0.000
7 Mg 0.157 0.843 0.000
8 W 0.667 0.333 0.000

=====

Model ii:
## RbMg6W (PBE-GGA)

Data for RbMg6W after structural relaxation.

Values from the calculation:
As for the spin magnetization: 0.00 Bohr magnetons per cell.

Cell lengths 6.741, 6.741, 4.349 Å; angles 90.00, 90.00, 90.00 degrees
Fractional positions:
1 Rb 0.000 0.000 0.500
2 Mg 0.000 0.500 0.500
3 Mg 0.500 0.000 0.500
4 Mg 0.708 0.292 0.000
5 Mg 0.292 0.708 0.000
6 Mg 0.708 0.708 0.000
7 Mg 0.292 0.292 0.000
8 W 0.500 0.500 0.500

=====

According to the calculations, the structures order from most to least stable as model ii, model i.

=====

Model i:
## RbYMg6 (PBE-GGA)

Data for RbYMg6 after structural relaxation.

Values from the calculation:
As for the spin magnetization: 0.00 Bohr magnetons per cell.

Cell lengths 5.381, 7.323, 11.847 Å; angles 90.00, 90.00, 90.00 degrees
Fractional positions:
1 Rb 0.500 0.500 0.833
2 Rb 0.500 0.000 0.333
3 Y 0.500 0.500 0.341
4 Y 0.500 0.000 0.841
5 Mg 0.500 0.255 0.081
6 Mg 0.500 0.745 0.081
7 Mg 0.000 0.226 0.928
8 Mg 0.000 0.774 0.928
9 Mg 0.000 0.500 0.164
10 Mg 0.000 0.500 0.645
11 Mg 0.500 0.755 0.581
12 Mg 0.500 0.245 0.581
13 Mg 0.000 0.726 0.428
14 Mg 0.000 0.274 0.428
15 Mg 0.000 0.000 0.664
16 Mg 0.000 0.000 0.145

=====

Model ii:
## RbYMg6 (PBE-GGA)

Data for RbYMg6 after structural relaxation.

Values from the calculation:
As for the spin magnetization: 0.00 Bohr magnetons per cell.

Cell lengths 6.860, 6.860, 5.472 Å; angles 90.00, 90.00, 118.09 degrees
Fractional positions:
1 Rb 0.148 0.852 0.000
2 Y 0.349 0.651 0.500
3 Mg 0.821 0.647 0.500
4 Mg 0.353 0.179 0.500
5 Mg 0.842 0.158 0.500
6 Mg 0.646 0.825 0.000
7 Mg 0.175 0.354 0.000
8 Mg 0.665 0.335 0.000

=====

According to the calculations, the structures order from most to least stable as model ii, model i.

=====

Model i:
## RbMg14Zn (PBE-GGA)

Data for RbMg14Zn after structural relaxation.

Values from the calculation:
As for the spin magnetization: 0.00 Bohr magnetons per cell.

Cell lengths 6.532, 6.532, 10.625 Å; angles 90.00, 90.00, 120.00 degrees
Fractional positions:
1 Rb 0.167 0.333 0.625
2 Mg 0.162 0.831 0.125
3 Mg 0.174 0.837 0.625
4 Mg 0.669 0.338 0.125
5 Mg 0.663 0.326 0.625
6 Mg 0.669 0.831 0.125
7 Mg 0.663 0.837 0.625
8 Mg 0.336 0.164 0.355
9 Mg 0.336 0.164 0.895
10 Mg 0.336 0.673 0.355
11 Mg 0.336 0.673 0.895
12 Mg 0.827 0.164 0.355
13 Mg 0.827 0.164 0.895
14 Mg 0.833 0.667 0.380
15 Mg 0.833 0.667 0.870
16 Zn 0.167 0.333 0.125

=====

Model ii:
## RbMg14Zn (PBE-GGA)

Data for RbMg14Zn after structural relaxation.

Values from the calculation:
As for the spin magnetization: 0.00 Bohr magnetons per cell.

Cell lengths 6.566, 6.526, 10.614 Å; angles 90.00, 90.00, 119.80 degrees
Fractional positions:
1 Rb 0.158 0.829 0.125
2 Mg 0.164 0.332 0.625
3 Mg 0.167 0.834 0.625
4 Mg 0.653 0.336 0.125
5 Mg 0.666 0.330 0.625
6 Mg 0.653 0.817 0.125
7 Mg 0.666 0.837 0.625
8 Mg 0.338 0.179 0.389
9 Mg 0.338 0.179 0.861
10 Mg 0.338 0.659 0.389
11 Mg 0.338 0.659 0.861
12 Mg 0.840 0.170 0.364
13 Mg 0.840 0.170 0.886
14 Mg 0.821 0.660 0.393
15 Mg 0.821 0.660 0.857
16 Zn 0.198 0.349 0.125

=====

According to the calculations, the structures order from most to least stable as model ii, model i.

=====

Model i:
## Sm2MgS4 (PBE-GGA)

Data for Sm2MgS4 after structural relaxation.

Values from the calculation:
As for the spin magnetization: 0.00 Bohr magnetons per cell.

Cell lengths 7.290, 7.290, 7.290 Å; angles 110.83, 110.83, 106.79 degrees
Fractional positions:
1 Sm 0.875 0.757 0.382
2 Sm 0.507 0.125 0.882
3 Sm 0.375 0.493 0.618
4 Sm 0.243 0.625 0.118
5 Mg 0.000 0.000 0.000
6 Mg 0.750 0.250 0.500
7 S 0.506 0.377 0.266
8 S 0.759 0.494 0.871
9 S 0.112 0.241 0.734
10 S 0.623 0.888 0.129
11 S 0.244 0.009 0.371
12 S 0.991 0.362 0.234
13 S 0.638 0.873 0.629
14 S 0.127 0.756 0.766

=====

Model ii:
## Sm2MgS4 (PBE-GGA)

Data for Sm2MgS4 after structural relaxation.

Values from the calculation:
As for the spin magnetization: 0.00 Bohr magnetons per cell.

Cell lengths 7.530, 8.813, 11.829 Å; angles 79.93, 83.66, 91.34 degrees
Fractional positions:
1 Sm 0.136 0.707 0.658
2 Sm 0.864 0.293 0.342
3 Sm 0.248 0.871 0.997
4 Sm 0.752 0.129 0.003
5 Sm 0.368 0.553 0.334
6 Sm 0.632 0.447 0.666
7 Sm 0.361 0.027 0.347
8 Sm 0.639 0.973 0.653
9 Mg 0.139 0.207 0.687
10 Mg 0.861 0.793 0.313
11 Mg 0.246 0.392 0.993
12 Mg 0.754 0.608 0.007
13 S 0.101 0.641 0.886
14 S 0.899 0.359 0.114
15 S 0.114 0.164 0.895
16 S 0.886 0.836 0.105
17 S 0.151 0.770 0.394
18 S 0.849 0.230 0.606
19 S 0.201 0.281 0.376
20 S 0.799 0.719 0.624
21 S 0.297 0.994 0.608
22 S 0.703 0.006 0.392
23 S 0.301 0.456 0.604
24 S 0.699 0.544 0.396
25 S 0.400 0.080 0.119
26 S 0.600 0.920 0.881
27 S 0.403 0.591 0.105
28 S 0.597 0.409 0.895

=====

Model iii:
## Sm2MgS4 (PBE-GGA)

Data for Sm2MgS4 after structural relaxation.

Values from the calculation:
As for the spin magnetization: 0.01 Bohr magnetons per cell.

Cell lengths 13.828, 8.108, 6.607 Å; angles 90.00, 90.00, 90.00 degrees
Fractional positions:
1 Sm 0.000 0.000 0.500
2 Sm 0.500 0.000 0.000
3 Sm 0.500 0.500 0.000
4 Sm 0.000 0.500 0.500
5 Sm 0.231 0.750 0.999
6 Sm 0.769 0.250 0.001
7 Sm 0.269 0.250 0.499
8 Sm 0.731 0.750 0.501
9 Mg 0.093 0.250 0.923
10 Mg 0.907 0.750 0.077
11 Mg 0.407 0.750 0.423
12 Mg 0.593 0.250 0.577
13 S 0.168 0.014 0.746
14 S 0.832 0.986 0.254
15 S 0.332 0.986 0.246
16 S 0.668 0.014 0.754
17 S 0.668 0.486 0.754
18 S 0.332 0.514 0.246
19 S 0.832 0.514 0.254
20 S 0.168 0.486 0.746
21 S 0.068 0.750 0.244
22 S 0.932 0.250 0.756
23 S 0.432 0.250 0.744
24 S 0.568 0.750 0.256
25 S 0.092 0.250 0.287
26 S 0.908 0.750 0.713
27 S 0.408 0.750 0.787
28 S 0.592 0.250 0.213

=====

According to the calculations, the structures order from most to least stable as model iii, model i, model ii.

=====

Model i:
## Sm2MgS4 (PBE-GGA)

Data for Sm2MgS4 after structural relaxation.

Values from the calculation:
As for the spin magnetization: 0.00 Bohr magnetons per cell.

Cell lengths 8.046, 8.046, 8.046 Å; angles 60.00, 60.00, 60.00 degrees
Fractional positions:
1 Sm 0.625 0.125 0.625
2 Sm 0.625 0.625 0.125
3 Sm 0.125 0.625 0.625
4 Sm 0.625 0.625 0.625
5 Mg 0.000 0.000 0.000
6 Mg 0.250 0.250 0.250
7 S 0.379 0.379 0.379
8 S 0.864 0.379 0.379
9 S 0.379 0.864 0.379
10 S 0.379 0.379 0.864
11 S 0.871 0.871 0.386
12 S 0.871 0.386 0.871
13 S 0.386 0.871 0.871
14 S 0.871 0.871 0.871

=====

Model ii:
## Sm2MgS4 (PBE-GGA)

Data for Sm2MgS4 after structural relaxation.

Values from the calculation:
As for the spin magnetization: 0.01 Bohr magnetons per cell.

Cell lengths 3.931, 12.839, 13.812 Å; angles 90.00, 90.00, 90.00 degrees
Fractional positions:
1 Sm 0.250 0.121 0.074
2 Sm 0.750 0.879 0.926
3 Sm 0.750 0.379 0.574
4 Sm 0.250 0.621 0.426
5 Sm 0.250 0.134 0.707
6 Sm 0.750 0.866 0.293
7 Sm 0.750 0.366 0.207
8 Sm 0.250 0.634 0.793
9 Mg 0.750 0.108 0.459
10 Mg 0.250 0.892 0.541
11 Mg 0.250 0.392 0.959
12 Mg 0.750 0.608 0.041
13 S 0.750 0.003 0.614
14 S 0.250 0.997 0.386
15 S 0.250 0.497 0.114
16 S 0.750 0.503 0.886
17 S 0.250 0.025 0.885
18 S 0.750 0.975 0.115
19 S 0.750 0.475 0.385
20 S 0.250 0.525 0.615
21 S 0.250 0.229 0.246
22 S 0.750 0.771 0.754
23 S 0.750 0.271 0.746
24 S 0.250 0.729 0.254
25 S 0.750 0.267 0.016
26 S 0.250 0.733 0.984
27 S 0.250 0.233 0.516
28 S 0.750 0.767 0.484

=====

According to the calculations, the structures order from most to least stable as model i, model ii.